Record 1
Below is a geometry-optimized LaHg2 structure, with properties calculated at the GGA-PBE level.

Output
Magnetization: 0.21 μB/f.u.
Electronic total energy: -2.3278 eV/atom
Calculated formation energy: -0.480 eV per atom

a = 5.157 Å, b = 5.157 Å, c = 3.510 Å
α = 90.00°, β = 90.00°, γ = 120.00°
Fractional coordinates of all 3 atoms:
La 0.000 0.000 0.000
Hg 0.333 0.667 0.479
Hg 0.667 0.333 0.521

=====

Record 2
Below is a geometry-optimized KSi5BO13 structure, with properties calculated at the GGA-PBE level.

Output
Magnetization: 2.00 μB/f.u.
Electronic total energy: -7.3914 eV/atom
Calculated formation energy: -2.876 eV per atom

a = 13.497 Å, b = 4.754 Å, c = 8.745 Å
α = 90.00°, β = 90.00°, γ = 90.00°
Fractional coordinates of all 40 atoms:
K 0.000 0.022 0.000
K 0.500 0.978 0.500
Si 0.000 0.078 0.533
Si 0.199 0.637 0.788
Si 0.205 0.863 0.446
Si 0.295 0.137 0.946
Si 0.301 0.363 0.288
Si 0.500 0.922 0.033
Si 0.699 0.363 0.288
Si 0.705 0.137 0.946
Si 0.795 0.863 0.446
Si 0.801 0.637 0.788
B 0.000 0.576 0.715
B 0.500 0.424 0.215
O 0.000 0.413 0.572
O 0.000 0.469 0.226
O 0.000 0.885 0.686
O 0.089 0.507 0.809
O 0.097 0.004 0.426
O 0.210 0.900 0.909
O 0.217 0.603 0.325
O 0.227 0.750 0.617
O 0.273 0.250 0.117
O 0.283 0.397 0.825
O 0.290 0.100 0.409
O 0.403 0.996 0.926
O 0.411 0.493 0.309
O 0.500 0.115 0.186
O 0.500 0.531 0.726
O 0.500 0.587 0.072
O 0.589 0.493 0.309
O 0.597 0.996 0.926
O 0.710 0.100 0.409
O 0.717 0.397 0.825
O 0.727 0.250 0.117
O 0.773 0.750 0.617
O 0.783 0.603 0.325
O 0.790 0.900 0.909
O 0.903 0.004 0.426
O 0.911 0.507 0.809

=====

Q: Which of these has the highest magnetization?
A: KSi5BO13

=====

Q: Which formula does entry 2 have?
A: KSi5BO13